First-principles (r2SCAN) data for a geometry-optimized KDy2Cl7 structure, as listed in the Materials Project database.

Cell and atoms, written as POSCAR:
```
KDy2Cl7
1.0
-4.5237 -10.3756 -5.4740
4.0202 -3.8903 4.0515
-9.4230 -0.4748 8.6871
K Cl Dy
4 28 8
Direct
0.2941 0.7124 0.4647
0.2059 0.7124 0.9647
0.7059 0.2876 0.5353
0.7941 0.2876 0.0353
0.9100 0.0411 0.6182
0.5745 0.5207 0.1176
0.0272 0.4409 0.1306
0.9728 0.5591 0.8694
0.2026 0.4953 0.6748
0.8228 0.9912 0.3289
0.5591 0.0419 0.3744
0.0591 0.9581 0.1256
0.2974 0.4953 0.1748
0.3228 0.0088 0.1711
0.9255 0.5207 0.6176
0.7026 0.5047 0.8252
0.6772 0.9912 0.8289
0.8148 0.7511 0.1035
0.1852 0.2489 0.8965
0.4728 0.4409 0.6306
0.4100 0.9589 0.8818
0.4255 0.4793 0.8824
0.5272 0.5591 0.3694
0.6852 0.7511 0.6035
0.0900 0.9589 0.3818
0.9409 0.0419 0.8744
0.0745 0.4793 0.3824
0.1772 0.0088 0.6711
0.5900 0.0411 0.1182
0.3148 0.2489 0.3965
0.7974 0.5047 0.3252
0.4409 0.9581 0.6256
0.9635 0.7260 0.2626
0.4635 0.2740 0.2374
0.8393 0.7767 0.7523
0.5365 0.7260 0.7626
0.1607 0.2233 0.2477
0.3393 0.2233 0.7477
0.6607 0.7767 0.2523
0.0365 0.2740 0.7374
```

First-principles (r2SCAN) data for a geometry-optimized Mg5Zn structure, as listed in the Materials Project database.

Cell and atoms, written as POSCAR:
```
Mg5Zn
1.0
-5.2323 0.7025 -0.8689
1.6852 -2.1080 4.6197
0.2836 4.5552 1.9751
Mg Zn
5 1
Direct
0.0000 0.6807 0.5000
0.3333 0.6667 0.0000
0.6667 0.3333 0.0000
0.3193 0.3193 0.5000
0.6807 0.0000 0.5000
0.0000 0.0000 0.0000
```

Number 1: volume 27.844 A^3/atom, energy relative to the elements -2.501 eV per atom. Number 2: volume 20.547 A^3/atom, energy relative to the elements 0.008 eV per atom.